[1]
# MgV8O8F8

An optimized crystal structure of MgV8O8F8 (PBE+U, the Materials Project database).

Geometry as POSCAR:
```
MgV8O8F8
1.0
4.735 -1.832 -0.221
-4.085 -9.893 1.371
-1.259 -1.308 -5.356
Mg V O F
1 8 8 8
Direct
0.245 0.046 0.850 Mg
0.536 0.286 0.716 V
0.532 0.975 0.491 V
0.538 0.733 0.214 V
0.499 0.516 0.978 V
0.975 0.249 0.265 V
0.029 0.754 0.721 V
0.013 0.496 0.485 V
0.974 0.975 0.272 V
0.836 0.338 0.506 O
0.721 0.104 0.308 O
0.734 0.826 0.461 O
0.718 0.578 0.246 O
0.324 0.444 0.717 O
0.313 0.685 0.945 O
0.184 0.929 0.616 O
0.137 0.141 0.079 O
0.819 0.583 0.749 F
0.824 0.819 0.978 F
0.627 0.063 0.792 F
0.727 0.350 0.012 F
0.336 0.909 0.155 F
0.247 0.181 0.545 F
0.209 0.680 0.445 F
0.223 0.427 0.217 F
```

crystal system	triclinic
ΔE_f	-2.66	eV/atom
energy above the most stable polymorph in this dataset	52.4	meV per atom

***

[2]
# MgV4O5F7

An optimized crystal structure of MgV4O5F7 (PBE+U, the Materials Project database).

Geometry as POSCAR:
```
MgV4O5F7
1.0
-5.139 0.001 -0.039
-2.573 -4.905 0.053
0.064 -3.086 8.656
Mg V O F
1 4 5 7
Direct
0.946 0.117 0.639 Mg
0.753 0.491 0.255 V
0.468 0.967 0.475 V
0.308 0.489 0.766 V
0.032 0.988 0.012 V
0.520 0.742 0.378 O
0.402 0.765 0.076 O
0.381 0.786 0.671 O
0.583 0.248 0.922 O
0.057 0.254 0.435 O
0.892 0.794 0.587 F
0.915 0.760 0.174 F
0.979 0.256 0.119 F
0.553 0.253 0.322 F
0.507 0.282 0.626 F
0.014 0.785 0.861 F
0.063 0.260 0.802 F
```

crystal system	triclinic
ΔE_f	-2.87	eV/atom
energy above the most stable polymorph in this dataset	14.0	meV per atom

***

[3]
# MgV4O8F4

An optimized crystal structure of MgV4O8F4 (PBE+U, the Materials Project database).

Geometry as POSCAR:
```
MgV4O8F4
1.0
13.144 0.000 -0.466
0.000 3.691 0.000
-0.158 0.000 4.659
Mg V O F
1 4 8 4
Direct
0.775 0.250 0.159 Mg
0.078 0.250 0.089 V
0.415 0.750 0.621 V
0.582 0.250 0.438 V
0.914 0.750 0.812 V
0.055 0.750 0.974 O
0.081 0.250 0.433 O
0.413 0.750 0.966 O
0.437 0.250 0.514 O
0.561 0.750 0.555 O
0.615 0.250 0.096 O
0.898 0.750 0.458 O
0.924 0.250 0.967 O
0.205 0.250 0.995 F
0.285 0.750 0.485 F
0.733 0.250 0.558 F
0.780 0.750 0.991 F
```

crystal system	monoclinic
ΔE_f	-2.61	eV/atom
energy above the most stable polymorph in this dataset	34.8	meV per atom

***

[4]
# MgV2O2F6

An optimized crystal structure of MgV2O2F6 (PBE+U, the Materials Project database).

Geometry as POSCAR:
```
MgV2O2F6
1.0
0.974 -1.698 -5.029
4.305 -2.077 1.546
-3.104 -3.781 3.612
Mg V O F
1 2 2 6
Direct
0.744 0.487 0.665 Mg
0.055 0.985 0.042 V
0.465 0.492 0.000 V
0.352 0.808 0.103 O
0.154 0.320 0.905 O
0.121 0.148 0.327 F
0.844 0.692 0.100 F
0.405 0.623 0.686 F
0.641 0.373 0.337 F
0.875 0.851 0.702 F
0.677 0.221 0.895 F
```

crystal system	triclinic
ΔE_f	-3.02	eV/atom
energy above the most stable polymorph in this dataset	63.6	meV per atom

***

[5]
# MgV4O5F7

An optimized crystal structure of MgV4O5F7 (PBE+U, the Materials Project database).

Geometry as POSCAR:
```
MgV4O5F7
1.0
0.309 -3.965 -3.259
-4.000 -4.214 4.865
-4.485 1.610 -2.706
Mg V O F
1 4 5 7
Direct
0.516 0.712 0.094 Mg
0.465 0.488 0.500 V
0.482 0.983 0.497 V
0.028 0.488 0.007 V
0.997 0.010 0.991 V
0.710 0.936 0.172 O
0.412 0.758 0.479 O
0.322 0.476 0.193 O
0.265 0.042 0.782 O
0.213 0.450 0.698 O
0.875 0.253 0.003 F
0.796 0.564 0.302 F
0.785 0.953 0.692 F
0.703 0.574 0.822 F
0.598 0.242 0.486 F
0.200 0.060 0.288 F
0.147 0.753 0.993 F
```

crystal system	triclinic
ΔE_f	-2.85	eV/atom
energy above the most stable polymorph in this dataset	33.5	meV per atom

***

[6]
# MgV2O2F6

An optimized crystal structure of MgV2O2F6 (PBE+U, the Materials Project database).

Geometry as POSCAR:
```
MgV2O2F6
1.0
5.865 0.061 0.100
-2.704 5.047 -0.101
0.094 -0.058 5.058
Mg V O F
1 2 2 6
Direct
0.643 0.099 0.250 Mg
0.329 0.355 0.239 V
0.637 0.619 0.740 V
0.326 0.502 0.937 O
0.515 0.318 0.511 O
0.280 0.018 0.129 F
0.503 0.744 0.443 F
0.737 0.954 0.939 F
0.706 0.448 0.043 F
0.961 0.753 0.625 F
0.998 0.263 0.382 F
```

crystal system	triclinic
ΔE_f	-3.00	eV/atom
energy above the most stable polymorph in this dataset	82.2	meV per atom

***

[7]
# MgV2O2F6

An optimized crystal structure of MgV2O2F6 (PBE+U, the Materials Project database).

Geometry as POSCAR:
```
MgV2O2F6
1.0
-4.906 -1.760 -1.469
-0.886 -2.173 4.889
0.330 5.645 2.382
Mg V O F
1 2 2 6
Direct
0.979 0.742 0.440 Mg
0.974 0.019 0.991 V
0.465 0.464 0.997 V
0.233 0.260 0.987 O
0.715 0.225 0.946 O
0.293 0.766 0.058 F
0.138 0.016 0.346 F
0.792 0.726 0.051 F
0.310 0.565 0.661 F
0.713 0.474 0.344 F
0.866 0.919 0.656 F
```

crystal system	triclinic
ΔE_f	-3.09	eV/atom
energy above the most stable polymorph in this dataset	0.0	meV per atom

***

[8]
# MgV6O5F19

An optimized crystal structure of MgV6O5F19 (PBE+U, the Materials Project database).

Geometry as POSCAR:
```
MgV6O5F19
1.0
-4.173 -1.544 3.200
1.610 -5.125 -0.500
10.882 2.370 10.681
Mg V O F
1 6 5 19
Direct
0.322 0.762 0.152 Mg
0.030 0.970 0.987 V
0.144 0.474 0.342 V
0.264 0.036 0.664 V
0.530 0.470 0.991 V
0.676 0.007 0.345 V
0.768 0.487 0.665 V
0.021 0.218 0.646 O
0.524 0.298 0.647 O
0.731 0.248 0.995 O
0.268 0.764 0.008 O
0.897 0.266 0.323 O
0.238 0.269 0.970 F
0.128 0.742 0.689 F
0.097 0.041 0.114 F
0.249 0.455 0.459 F
0.388 0.087 0.777 F
0.124 0.575 0.218 F
0.299 0.938 0.558 F
0.480 0.562 0.880 F
0.398 0.231 0.322 F
0.443 0.733 0.350 F
0.630 0.774 0.689 F
0.515 0.477 0.112 F
0.715 0.054 0.459 F
0.897 0.435 0.777 F
0.600 0.937 0.221 F
0.804 0.578 0.558 F
0.891 0.969 0.874 F
0.771 0.733 0.017 F
0.943 0.773 0.355 F
```

crystal system	triclinic
ΔE_f	-2.85	eV/atom
energy above the most stable polymorph in this dataset	23.6	meV per atom

***

[9]
# MgV4O4F8

An optimized crystal structure of MgV4O4F8 (PBE+U, the Materials Project database).

Geometry as POSCAR:
```
MgV4O4F8
1.0
3.237 -2.397 -3.109
0.635 -5.749 5.180
-4.012 -2.847 -2.024
Mg V O F
1 4 4 8
Direct
0.489 0.286 0.099 Mg
0.500 0.507 0.511 V
0.503 0.985 0.509 V
0.999 0.510 0.997 V
0.011 0.994 0.002 V
0.683 0.520 0.216 O
0.700 0.958 0.774 O
0.318 0.057 0.197 O
0.325 0.435 0.807 O
0.863 0.254 0.989 F
0.799 0.920 0.294 F
0.811 0.580 0.685 F
0.607 0.244 0.478 F
0.371 0.742 0.501 F
0.201 0.421 0.306 F
0.195 0.062 0.688 F
0.126 0.743 0.009 F
```

crystal system	triclinic
ΔE_f	-2.93	eV/atom
energy above the most stable polymorph in this dataset	13.5	meV per atom

***

[10]
# MgV4O4F8

An optimized crystal structure of MgV4O4F8 (PBE+U, the Materials Project database).

Geometry as POSCAR:
```
MgV4O4F8
1.0
2.655 1.279 -4.256
-0.058 9.450 0.269
2.724 -1.310 4.295
Mg V O F
1 4 4 8
Direct
0.569 0.197 0.375 Mg
0.011 0.986 0.982 V
0.754 0.749 0.235 V
0.482 0.517 0.554 V
0.243 0.249 0.748 V
0.818 0.875 0.043 O
0.311 0.355 0.528 O
0.237 0.119 0.999 O
0.524 0.624 0.869 O
0.123 0.614 0.272 F
0.967 0.126 0.371 F
0.396 0.879 0.238 F
0.495 0.357 0.138 F
0.713 0.620 0.459 F
0.628 0.110 0.724 F
0.003 0.867 0.626 F
0.852 0.364 0.701 F
```

crystal system	triclinic
ΔE_f	-2.94	eV/atom
energy above the most stable polymorph in this dataset	0.0	meV per atom

***

[11]
# MgV3OF11

An optimized crystal structure of MgV3OF11 (PBE+U, the Materials Project database).

Geometry as POSCAR:
```
MgV3OF11
1.0
7.392 0.458 0.179
-0.916 5.719 0.204
-1.066 -1.148 4.956
Mg V O F
1 3 1 11
Direct
0.031 0.583 0.443 Mg
0.018 0.002 0.043 V
0.365 0.157 0.622 V
0.631 0.850 0.378 V
0.133 0.927 0.334 O
0.053 0.720 0.820 F
0.246 0.419 0.521 F
0.209 0.154 0.907 F
0.476 0.852 0.642 F
0.445 0.682 0.143 F
0.563 0.319 0.861 F
0.527 0.135 0.341 F
0.776 0.879 0.105 F
0.762 0.590 0.435 F
0.829 0.022 0.650 F
0.954 0.308 0.147 F
```

crystal system	triclinic
ΔE_f	-3.07	eV/atom
energy above the most stable polymorph in this dataset	25.4	meV per atom

***

[12]
# MgV6O5F19

An optimized crystal structure of MgV6O5F19 (PBE+U, the Materials Project database).

Geometry as POSCAR:
```
MgV6O5F19
1.0
-3.953 3.781 0.081
-0.343 -0.856 5.291
12.653 9.031 2.477
Mg V O F
1 6 5 19
Direct
0.976 0.779 0.487 Mg
0.050 0.963 0.007 V
0.158 0.516 0.324 V
0.351 0.996 0.680 V
0.538 0.455 0.995 V
0.671 0.045 0.321 V
0.850 0.425 0.672 V
0.043 0.208 0.653 O
0.563 0.271 0.656 O
0.706 0.241 0.968 O
0.290 0.797 0.033 O
0.876 0.292 0.309 O
0.218 0.267 0.972 F
0.126 0.707 0.689 F
0.025 0.112 0.105 F
0.164 0.499 0.444 F
0.367 0.078 0.789 F
0.113 0.620 0.217 F
0.264 0.933 0.557 F
0.443 0.621 0.897 F
0.371 0.248 0.318 F
0.450 0.743 0.356 F
0.613 0.786 0.689 F
0.534 0.403 0.106 F
0.754 0.049 0.448 F
0.902 0.432 0.786 F
0.559 0.924 0.215 F
0.796 0.578 0.558 F
0.941 0.898 0.897 F
0.799 0.713 0.032 F
0.943 0.798 0.348 F
```

crystal system	triclinic
ΔE_f	-2.86	eV/atom
energy above the most stable polymorph in this dataset	17.0	meV per atom

***

[13]
# MgV4O5F7

An optimized crystal structure of MgV4O5F7 (PBE+U, the Materials Project database).

Geometry as POSCAR:
```
MgV4O5F7
1.0
0.019 -1.450 5.006
-4.397 1.048 3.208
-6.035 -6.493 -1.945
Mg V O F
1 4 5 7
Direct
0.193 0.598 0.403 Mg
0.727 0.523 0.249 V
0.456 0.962 0.506 V
0.294 0.479 0.774 V
0.032 0.003 0.001 V
0.473 0.751 0.373 O
0.443 0.741 0.081 O
0.402 0.762 0.669 O
0.590 0.256 0.916 O
0.072 0.290 0.407 O
0.917 0.753 0.552 F
0.931 0.773 0.194 F
0.983 0.260 0.122 F
0.561 0.266 0.333 F
0.446 0.280 0.612 F
0.025 0.756 0.874 F
0.078 0.272 0.818 F
```

crystal system	triclinic
ΔE_f	-2.88	eV/atom
energy above the most stable polymorph in this dataset	9.2	meV per atom

***

[14]
# MgV4O8F4

An optimized crystal structure of MgV4O8F4 (PBE+U, the Materials Project database).

Geometry as POSCAR:
```
MgV4O8F4
1.0
-4.452 -1.117 -2.062
-4.143 -5.942 5.883
0.255 4.382 2.789
Mg V O F
1 4 8 4
Direct
0.355 0.945 0.631 Mg
0.008 0.004 0.996 V
0.687 0.739 0.170 V
0.520 0.503 0.504 V
0.321 0.275 0.813 V
0.378 0.865 0.242 O
0.489 0.367 0.141 O
0.748 0.863 0.994 O
0.303 0.378 0.567 O
0.704 0.620 0.462 O
0.199 0.111 0.938 O
0.519 0.623 0.879 O
0.600 0.115 0.774 O
0.110 0.625 0.281 F
0.024 0.101 0.369 F
0.016 0.870 0.629 F
0.892 0.364 0.734 F
```

crystal system	triclinic
ΔE_f	-2.63	eV/atom
energy above the most stable polymorph in this dataset	16.9	meV per atom

***

[15]
# MgV6O5F19

An optimized crystal structure of MgV6O5F19 (PBE+U, the Materials Project database).

Geometry as POSCAR:
```
MgV6O5F19
1.0
5.505 -0.052 -0.010
-0.049 5.245 0.018
-2.721 0.072 15.409
Mg V O F
1 6 5 19
Direct
0.471 0.518 0.776 Mg
0.047 0.967 0.009 V
0.126 0.470 0.328 V
0.317 0.001 0.654 V
0.541 0.457 0.007 V
0.652 0.988 0.333 V
0.817 0.429 0.648 V
0.008 0.198 0.631 O
0.526 0.298 0.630 O
0.716 0.234 0.980 O
0.284 0.781 0.027 O
0.881 0.281 0.305 O
0.221 0.270 0.978 F
0.161 0.683 0.702 F
0.050 0.100 0.113 F
0.211 0.417 0.442 F
0.354 0.160 0.767 F
0.142 0.604 0.225 F
0.285 0.879 0.548 F
0.455 0.610 0.891 F
0.364 0.217 0.310 F
0.457 0.715 0.360 F
0.602 0.798 0.702 F
0.542 0.412 0.120 F
0.723 0.099 0.441 F
0.828 0.421 0.769 F
0.613 0.920 0.221 F
0.809 0.648 0.562 F
0.941 0.916 0.895 F
0.799 0.726 0.033 F
0.950 0.769 0.354 F
```

crystal system	triclinic
ΔE_f	-2.84	eV/atom
energy above the most stable polymorph in this dataset	37.7	meV per atom

***

Number 1: total energy -6.913 eV/atom, magnetic moment 18.000 μB per formula unit. Number 2: total energy -6.553 eV/atom, magnetic moment 5.000 μB per formula unit. Number 3: total energy -6.790 eV/atom, magnetic moment 1.995 μB per formula unit. Number 4: total energy -6.077 eV/atom, magnetic moment 2.000 μB per formula unit. Number 5: total energy -6.534 eV/atom, magnetic moment 5.004 μB per formula unit. Number 6: total energy -6.059 eV/atom, magnetic moment 2.000 μB per formula unit. Number 7: total energy -6.141 eV/atom, magnetic moment 2.000 μB per formula unit. Number 8: total energy -5.911 eV/atom, magnetic moment 2.999 μB per formula unit. Number 9: total energy -6.445 eV/atom, magnetic moment 6.010 μB per formula unit. Number 10: total energy -6.458 eV/atom, magnetic moment 6.002 μB per formula unit. Number 11: total energy -5.822 eV/atom, magnetic moment 3.998 μB per formula unit. Number 12: total energy -5.917 eV/atom, magnetic moment 2.985 μB per formula unit. Number 13: total energy -6.558 eV/atom, magnetic moment 5.000 μB per formula unit. Number 14: total energy -6.808 eV/atom, magnetic moment 2.000 μB per formula unit. Number 15: total energy -5.897 eV/atom, magnetic moment 3.001 μB per formula unit.